The following is a PBE-GGA calculation of crystalline V2CrFe at its relaxed geometry, from the Materials Project database.

a = 4.062 Å, b = 4.062 Å, c = 4.062 Å
α = 60.00°, β = 60.00°, γ = 60.00°
Atoms (fractional coordinates):
Fe: 0.000 0.000 0.000
V: 0.250 0.250 0.250
Cr: 0.500 0.500 0.500
V: 0.750 0.750 0.750

As for the space-group type: No. 225. The value obtained for the volume is 47.4 Å³/cell.

The following is a PBE-GGA calculation of crystalline K2NaLaCl6 at its relaxed geometry, from the Materials Project database.

a = 7.771 Å, b = 7.771 Å, c = 7.771 Å
α = 60.00°, β = 60.00°, γ = 60.00°
Atoms (fractional coordinates):
Cl: 0.251 0.749 0.749
Cl: 0.251 0.749 0.251
Cl: 0.749 0.251 0.251
Cl: 0.749 0.251 0.749
K: 0.750 0.750 0.750
K: 0.250 0.250 0.250
Na: 0.500 0.500 0.500
Cl: 0.251 0.251 0.749
La: 0.000 0.000 0.000
Cl: 0.749 0.749 0.251

As for the space-group type: No. 225. The value obtained for the volume is 331.8 Å³/cell. The total magnetization is 0.007 μB per formula unit.

For reference, calculated formation energy by record: -0.64, -24.28 eV per formula unit.